No. 1
An optimized crystal structure of Ce2Mg. Source: the Materials Project, functional GGA-PBE.

Unit cell a=6.795 b=6.795 c=6.795 alpha=148.45 beta=148.45 gamma=45.22
Fractional positions:
Ce 0.335 0.335 0.000
Ce 0.665 0.665 0.000
Mg 0.000 0.000 0.000

Density ... 5.90 g cm⁻³
Space group ... I4/mmm
Raw total energy ... -4.359 eV/atom
Formation enthalpy at 0 K ... 130 meV/atom
Excess energy over the best structure of this formula in the dataset ... 117 meV per atom

=====

No. 2
An optimized crystal structure of CeMg15. Source: the Materials Project, functional GGA-PBE.

Unit cell a=6.492 b=6.492 c=10.243 alpha=90.00 beta=90.00 gamma=120.00
Fractional positions:
Mg 0.668 0.832 0.625
Mg 0.167 0.333 0.625
Mg 0.833 0.667 0.884
Mg 0.334 0.668 0.870
Mg 0.832 0.166 0.380
Mg 0.180 0.840 0.125
Mg 0.334 0.166 0.870
Mg 0.334 0.166 0.380
Mg 0.668 0.336 0.625
Mg 0.334 0.668 0.380
Mg 0.833 0.667 0.366
Mg 0.164 0.832 0.625
Mg 0.660 0.320 0.125
Mg 0.832 0.166 0.870
Mg 0.660 0.840 0.125
Ce 0.167 0.333 0.125

Density ... 2.24 g cm⁻³
Space group ... P-6m2
Raw total energy ... -1.826 eV/atom
Formation enthalpy at 0 K ... 45 meV/atom

=====

No. 3
An optimized crystal structure of Ce2Mg. Source: the Materials Project, functional GGA-PBE.

Unit cell a=5.769 b=5.769 c=5.639 alpha=90.00 beta=90.00 gamma=120.00
Fractional positions:
Ce 0.334 0.334 0.000
Ce 0.000 0.000 0.500
Ce 0.666 0.000 0.000
Ce 0.000 0.666 0.000
Mg 0.667 0.333 0.500
Mg 0.333 0.667 0.500

Density ... 6.22 g cm⁻³
Space group ... P-62m
Raw total energy ... -4.385 eV/atom
Formation enthalpy at 0 K ... 104 meV/atom
Excess energy over the best structure of this formula in the dataset ... 92 meV per atom

=====

No. 4
An optimized crystal structure of Ce3Mg. Source: the Materials Project, functional GGA-PBE.

Unit cell a=3.195 b=3.195 c=11.753 alpha=90.00 beta=90.00 gamma=120.00
Fractional positions:
Ce 0.000 0.000 0.749
Ce 0.000 0.000 0.251
Ce 0.667 0.333 0.000
Mg 0.667 0.333 0.500

Density ... 7.11 g cm⁻³
Space group ... P-6m2
Raw total energy ... -4.774 eV/atom
Formation enthalpy at 0 K ... 76 meV/atom

=====

No. 5
An optimized crystal structure of CeMg. Source: the Materials Project, functional GGA-PBE.

Unit cell a=3.162 b=5.201 c=6.157 alpha=90.00 beta=90.00 gamma=90.00
Fractional positions:
Mg 0.500 0.250 0.632
Mg 0.500 0.750 0.368
Ce 0.000 0.750 0.885
Ce 0.000 0.250 0.115

Density ... 5.39 g cm⁻³
Space group ... Pmma
Raw total energy ... -3.756 eV/atom
Formation enthalpy at 0 K ... 10 meV/atom

=====

No. 6
An optimized crystal structure of Ce3Mg. Source: the Materials Project, functional GGA-PBE.

Unit cell a=4.815 b=4.815 c=4.815 alpha=90.00 beta=90.00 gamma=90.00
Fractional positions:
Ce 0.500 0.000 0.500
Ce 0.000 0.500 0.500
Ce 0.500 0.500 0.000
Mg 0.000 0.000 0.000

Density ... 6.62 g cm⁻³
Space group ... Pm-3m
Raw total energy ... -4.756 eV/atom
Formation enthalpy at 0 K ... 94 meV/atom

=====

No. 7
An optimized crystal structure of Ce2Mg. Source: the Materials Project, functional GGA-PBE.

Unit cell a=6.694 b=6.694 c=7.734 alpha=77.19 beta=77.19 gamma=27.92
Fractional positions:
Mg 0.472 0.472 0.814
Mg 0.528 0.528 0.186
Ce 0.862 0.862 0.533
Ce 0.798 0.798 0.143
Ce 0.138 0.138 0.467
Ce 0.202 0.202 0.857

Density ... 6.40 g cm⁻³
Space group ... C2/m
Raw total energy ... -4.397 eV/atom
Formation enthalpy at 0 K ... 92 meV/atom
Excess energy over the best structure of this formula in the dataset ... 80 meV per atom

=====

No. 8
An optimized crystal structure of Ce2Mg. Source: the Materials Project, functional GGA-PBE.

Unit cell a=6.196 b=6.196 c=5.639 alpha=90.00 beta=90.00 gamma=90.00
Fractional positions:
Ce 0.650 0.650 0.000
Ce 0.150 0.850 0.500
Ce 0.850 0.150 0.500
Ce 0.350 0.350 0.000
Mg 0.500 0.500 0.500
Mg 0.000 0.000 0.000

Density ... 4.67 g cm⁻³
Space group ... P4_2/mnm
Raw total energy ... -3.848 eV/atom
Formation enthalpy at 0 K ... 640 meV/atom
Excess energy over the best structure of this formula in the dataset ... 628 meV per atom

=====

No. 9
An optimized crystal structure of CeMg. Source: the Materials Project, functional GGA-PBE.

Unit cell a=6.196 b=6.196 c=6.196 alpha=29.02 beta=29.02 gamma=29.02
Fractional positions:
Ce 0.000 0.000 0.000
Mg 0.500 0.500 0.500

Density ... 5.51 g cm⁻³
Space group ... R-3m
Raw total energy ... -3.755 eV/atom
Formation enthalpy at 0 K ... 12 meV/atom

=====

No. 10
An optimized crystal structure of Ce2Mg. Source: the Materials Project, functional GGA-PBE.

Unit cell a=3.253 b=3.253 c=17.034 alpha=90.00 beta=90.00 gamma=120.00
Fractional positions:
Mg 0.333 0.667 0.578
Mg 0.667 0.333 0.422
Ce 0.667 0.333 0.082
Ce 0.333 0.667 0.918
Ce 0.667 0.333 0.749
Ce 0.333 0.667 0.251

Density ... 6.48 g cm⁻³
Space group ... P-3m1
Raw total energy ... -4.431 eV/atom
Formation enthalpy at 0 K ... 57 meV/atom
Excess energy over the best structure of this formula in the dataset ... 45 meV per atom

=====

No. 11
An optimized crystal structure of Ce2Mg. Source: the Materials Project, functional GGA-PBE.

Unit cell a=6.027 b=6.027 c=5.242 alpha=90.00 beta=90.00 gamma=126.08
Fractional positions:
Ce 0.964 0.337 0.750
Ce 0.337 0.964 0.750
Ce 0.663 0.036 0.250
Ce 0.036 0.663 0.250
Mg 0.339 0.339 0.250
Mg 0.661 0.661 0.750

Density ... 6.57 g cm⁻³
Space group ... Cmcm
Raw total energy ... -4.418 eV/atom
Formation enthalpy at 0 K ... 71 meV/atom
Excess energy over the best structure of this formula in the dataset ... 59 meV per atom

=====

No. 12
An optimized crystal structure of CeMg. Source: the Materials Project, functional GGA-PBE.

Unit cell a=3.102 b=5.134 c=6.263 alpha=90.00 beta=90.00 gamma=90.00
Fractional positions:
Ce 0.000 0.500 0.439
Ce 0.500 0.000 0.561
Mg 0.000 0.000 0.079
Mg 0.500 0.500 0.921

Density ... 5.47 g cm⁻³
Space group ... Pmmn
Raw total energy ... -3.745 eV/atom
Formation enthalpy at 0 K ... 21 meV/atom

=====

No. 13
An optimized crystal structure of Ce2Mg. Source: the Materials Project, functional GGA-PBE.

Unit cell a=3.137 b=3.137 c=18.062 alpha=90.00 beta=90.00 gamma=120.00
Fractional positions:
Ce 0.000 0.000 0.334
Ce 0.000 0.000 0.000
Ce 0.667 0.333 0.500
Ce 0.000 0.000 0.666
Mg 0.667 0.333 0.167
Mg 0.667 0.333 0.833

Density ... 6.57 g cm⁻³
Space group ... P-6m2
Raw total energy ... -4.424 eV/atom
Formation enthalpy at 0 K ... 65 meV/atom
Excess energy over the best structure of this formula in the dataset ... 53 meV per atom

=====

No. 14
An optimized crystal structure of CeMg. Source: the Materials Project, functional GGA-PBE.

Unit cell a=5.385 b=3.214 c=17.901 alpha=90.00 beta=90.00 gamma=90.00
Fractional positions:
Mg 0.000 0.000 0.661
Mg 0.000 0.500 0.507
Mg 0.500 0.000 0.111
Mg 0.000 0.000 0.007
Mg 0.000 0.500 0.161
Mg 0.500 0.500 0.611
Ce 0.000 0.500 0.827
Ce 0.500 0.500 0.287
Ce 0.500 0.000 0.787
Ce 0.000 0.000 0.327
Ce 0.500 0.000 0.440
Ce 0.500 0.500 0.940

Density ... 5.29 g cm⁻³
Raw total energy ... -3.718 eV/atom
Formation enthalpy at 0 K ... 49 meV/atom

=====

No. 15
An optimized crystal structure of Ce2Mg. Source: the Materials Project, functional GGA-PBE.

Unit cell a=9.372 b=9.372 c=5.254 alpha=90.00 beta=90.00 gamma=160.30
Fractional positions:
Ce 0.797 0.203 0.250
Ce 0.873 0.127 0.750
Ce 0.203 0.797 0.750
Ce 0.127 0.873 0.250
Mg 0.540 0.460 0.750
Mg 0.460 0.540 0.250

Density ... 6.50 g cm⁻³
Space group ... Cmcm
Raw total energy ... -4.477 eV/atom
Formation enthalpy at 0 K ... 12 meV/atom
Excess energy over the best structure of this formula in the dataset ... 0 meV per atom

=====

No. 16
An optimized crystal structure of CeMg. Source: the Materials Project, functional GGA-PBE.

Unit cell a=6.460 b=6.460 c=8.000 alpha=77.35 beta=77.35 gamma=28.15
Fractional positions:
Mg 0.665 0.665 0.690
Mg 0.000 0.000 0.987
Mg 0.278 0.278 0.942
Ce 0.323 0.323 0.344
Ce 0.948 0.948 0.572
Ce 0.619 0.619 0.299

Density ... 5.34 g cm⁻³
Space group ... Cm
Raw total energy ... -3.722 eV/atom
Formation enthalpy at 0 K ... 45 meV/atom

=====

No. 17
An optimized crystal structure of CeMg. Source: the Materials Project, functional GGA-PBE.

Unit cell a=5.587 b=3.237 c=17.378 alpha=90.00 beta=90.00 gamma=90.00
Fractional positions:
Mg 0.500 0.500 0.948
Mg 0.000 0.500 0.503
Mg 0.000 0.000 0.003
Mg 0.000 0.500 0.159
Mg 0.500 0.000 0.448
Mg 0.000 0.000 0.659
Ce 0.500 0.000 0.128
Ce 0.500 0.000 0.772
Ce 0.000 0.000 0.324
Ce 0.000 0.500 0.824
Ce 0.500 0.500 0.628
Ce 0.500 0.500 0.272

Density ... 5.21 g cm⁻³
Raw total energy ... -3.709 eV/atom
Formation enthalpy at 0 K ... 57 meV/atom

=====

No. 18
An optimized crystal structure of CeMg. Source: the Materials Project, functional GGA-PBE.

Unit cell a=3.161 b=3.161 c=17.112 alpha=90.00 beta=90.00 gamma=120.00
Fractional positions:
Mg 0.667 0.333 0.655
Mg 0.000 0.000 0.500
Mg 0.667 0.333 0.345
Ce 0.000 0.000 0.175
Ce 0.000 0.000 0.825
Ce 0.667 0.333 0.000

Density ... 5.53 g cm⁻³
Space group ... P-6m2
Raw total energy ... -3.735 eV/atom
Formation enthalpy at 0 K ... 32 meV/atom

=====

No. 19
An optimized crystal structure of Ce3Mg. Source: the Materials Project, functional GGA-PBE.

Unit cell a=6.492 b=6.492 c=6.492 alpha=150.95 beta=124.61 gamma=63.76
Fractional positions:
Mg 0.670 0.000 0.670
Ce 0.153 0.500 0.653
Ce 0.756 0.750 0.006
Ce 0.255 0.250 0.006

Density ... 6.82 g cm⁻³
Space group ... Imm2
Raw total energy ... -4.763 eV/atom
Formation enthalpy at 0 K ... 87 meV/atom

=====

No. 20
An optimized crystal structure of Ce3Mg. Source: the Materials Project, functional GGA-PBE.

Unit cell a=3.254 b=5.492 c=5.938 alpha=90.00 beta=90.00 gamma=90.00
Fractional positions:
Mg 0.000 0.500 0.331
Ce 0.000 0.000 0.000
Ce 0.500 0.000 0.490
Ce 0.500 0.500 0.846

Density ... 6.96 g cm⁻³
Space group ... Pmm2
Raw total energy ... -4.771 eV/atom
Formation enthalpy at 0 K ... 79 meV/atom